No. 1
Li2CuSnO4 | PBE | relaxed

Offset from the most stable computed form, eV/atom: 0.013

Lattice parameters (Å, degrees): 4.175 4.175 9.189 90.00 90.00 90.00
Space group I-4m2 (No. 119)
Asymmetric unit:
Li (0.000, 0.000, 0.000) [2 per cell]
Li (0.000, 0.500, 0.250) [2 per cell]
Cu (0.000, 0.500, 0.750) [2 per cell]
Sn (0.000, 0.000, 0.500) [2 per cell]
O (0.000, 0.000, 0.274) [4 per cell]
O (0.000, 0.500, 0.501) [4 per cell]

=====

No. 2
Li3Ta5Cu2O15 | PBE | relaxed

Lattice parameters (Å, degrees): 5.2249 5.2249 70.2907 90.00 90.00 120.00
Space group R3 (No. 146, hexagonal axes)
Asymmetric unit:
Li (0.0000, 0.0000, 0.0000) [3 per cell]
Li (0.0000, 0.0000, 0.0985) [3 per cell]
Li (0.0000, 0.0000, 0.1998) [3 per cell]
Li (0.0000, 0.0000, 0.3995) [3 per cell]
Li (0.0000, 0.0000, 0.5999) [3 per cell]
Li (0.0000, 0.0000, 0.7989) [3 per cell]
Ta (0.0000, 0.0000, 0.0439) [3 per cell]
Ta (0.0000, 0.0000, 0.1423) [3 per cell]
Ta (0.0000, 0.0000, 0.2435) [3 per cell]
Ta (0.0000, 0.0000, 0.3428) [3 per cell]
Ta (0.0000, 0.0000, 0.4427) [3 per cell]
Ta (0.0000, 0.0000, 0.5424) [3 per cell]
Ta (0.0000, 0.0000, 0.6437) [3 per cell]
Ta (0.0000, 0.0000, 0.7429) [3 per cell]
Ta (0.0000, 0.0000, 0.8433) [3 per cell]
Ta (0.0000, 0.0000, 0.9426) [3 per cell]
Cu (0.0000, 0.0000, 0.2938) [3 per cell]
Cu (0.0000, 0.0000, 0.4934) [3 per cell]
Cu (0.0000, 0.0000, 0.6939) [3 per cell]
Cu (0.0000, 0.0000, 0.8937) [3 per cell]
O (0.0012, 0.6227, 0.3916) [9 per cell]
O (0.0020, 0.6241, 0.1910) [9 per cell]
O (0.0021, 0.6243, 0.5912) [9 per cell]
O (0.0018, 0.6242, 0.9914) [9 per cell]
O (0.0079, 0.3877, 0.0907) [9 per cell]
O (0.0091, 0.3911, 0.2907) [9 per cell]
O (0.0087, 0.3908, 0.6908) [9 per cell]
O (0.0091, 0.3912, 0.8905) [9 per cell]
O (0.0090, 0.6229, 0.7903) [9 per cell]
O (0.0098, 0.3910, 0.4903) [9 per cell]

=====

We obtain magnetic moment values of 0.38; 0.00 μB/f.u. for the records listed above, in that order.
We obtain formation energy values of -1828; -2843 meV per atom for the records listed above, in that order.